[1]
The following is a DFT calculation (r2SCAN) of a relaxed structure of Mn2CoO4. Values from VASP.

Quantum ESPRESSO input file:
```
&SYSTEM
  ibrav = 0, nat = 14, ntyp = 3
/
ATOMIC_SPECIES
Mn 54.94 Mn.upf
Co 58.93 Co.upf
O 16.00 O.upf
CELL_PARAMETERS angstrom
-2.865 2.865 4.621
2.865 -2.865 4.621
2.865 2.865 -4.621
ATOMIC_POSITIONS crystal
Mn 0.000 0.000 0.000
Mn 0.000 0.000 0.500
Mn 0.000 0.500 0.000
Mn 0.500 0.000 0.500
Co 0.375 0.625 0.750
Co 0.625 0.375 0.250
O 0.222 0.246 0.976
O 0.230 0.754 0.476
O 0.246 0.222 0.476
O 0.246 0.770 0.024
O 0.754 0.230 0.976
O 0.754 0.778 0.524
O 0.770 0.246 0.524
O 0.778 0.754 0.024
```

The energy of formation from the pure elements comes out at -1.85 eV/atom. As for the magnetization: 1.5714 μB per atom.

[2]
The following is a DFT calculation (r2SCAN) of a relaxed structure of Ti3Mn2Co3O16. Values from VASP.

Quantum ESPRESSO input file:
```
&SYSTEM
  ibrav = 0, nat = 24, ntyp = 4
/
ATOMIC_SPECIES
Ti 47.87 Ti.upf
Mn 54.94 Mn.upf
Co 58.93 Co.upf
O 16.00 O.upf
CELL_PARAMETERS angstrom
5.687 0.000 0.000
2.805 4.978 0.000
0.206 0.161 8.701
ATOMIC_POSITIONS crystal
Ti 0.000 0.000 0.000
Ti 0.166 0.672 0.497
Ti 0.498 0.503 0.999
Mn 0.656 0.165 0.723
Mn 0.994 0.492 0.228
Co 0.163 0.165 0.500
Co 0.497 0.001 0.996
Co 0.669 0.659 0.496
O 0.153 0.654 0.105
O 0.155 0.169 0.108
O 0.281 0.349 0.365
O 0.333 0.838 0.887
O 0.342 0.837 0.389
O 0.368 0.297 0.864
O 0.484 0.998 0.601
O 0.494 0.489 0.607
O 0.651 0.154 0.110
O 0.669 0.656 0.107
O 0.792 0.874 0.863
O 0.803 0.306 0.858
O 0.842 0.784 0.362
O 0.851 0.348 0.375
O 0.980 0.002 0.604
O 0.980 0.491 0.605
```

The energy of formation from the pure elements comes out at -2.03 eV/atom. As for the magnetization: 0.3749 μB per atom.

[3]
The following is a DFT calculation (r2SCAN) of a relaxed structure of Yb2MnCoO6. Values from VASP.

Quantum ESPRESSO input file:
```
&SYSTEM
  ibrav = 0, nat = 20, ntyp = 4
/
ATOMIC_SPECIES
Yb 173.04 Yb.upf
Mn 54.94 Mn.upf
Co 58.93 Co.upf
O 16.00 O.upf
CELL_PARAMETERS angstrom
5.113 0.000 0.000
0.000 5.500 0.000
-5.020 0.000 7.296
ATOMIC_POSITIONS crystal
Yb 0.227 0.078 0.249
Yb 0.227 0.422 0.749
Yb 0.773 0.578 0.251
Yb 0.773 0.922 0.751
Mn 0.500 0.000 0.000
Mn 0.500 0.500 0.500
Co 0.000 0.000 0.500
Co 0.000 0.500 0.000
O 0.135 0.192 0.945
O 0.135 0.308 0.445
O 0.255 0.695 0.943
O 0.255 0.805 0.443
O 0.365 0.038 0.751
O 0.365 0.462 0.251
O 0.635 0.538 0.749
O 0.635 0.962 0.249
O 0.745 0.195 0.557
O 0.745 0.305 0.057
O 0.865 0.692 0.555
O 0.865 0.808 0.055
```

The energy of formation from the pure elements comes out at -2.91 eV/atom. As for the magnetization: 0.4000 μB per atom.

[4]
The following is a DFT calculation (r2SCAN) of a relaxed structure of MnCoP. Values from VASP.

Quantum ESPRESSO input file:
```
&SYSTEM
  ibrav = 0, nat = 12, ntyp = 3
/
ATOMIC_SPECIES
Mn 54.94 Mn.upf
Co 58.93 Co.upf
P 30.97 P.upf
CELL_PARAMETERS angstrom
5.935 0.000 0.000
0.000 3.454 0.000
0.000 0.000 6.633
ATOMIC_POSITIONS crystal
Mn 0.027 0.250 0.168
Mn 0.473 0.750 0.668
Mn 0.527 0.250 0.332
Mn 0.973 0.750 0.832
Co 0.141 0.250 0.566
Co 0.359 0.750 0.066
Co 0.641 0.250 0.934
Co 0.859 0.750 0.434
P 0.231 0.750 0.375
P 0.269 0.250 0.875
P 0.731 0.750 0.125
P 0.769 0.250 0.625
```

The energy of formation from the pure elements comes out at -0.69 eV/atom. As for the magnetization: 1.0432 μB per atom.

[5]
The following is a DFT calculation (r2SCAN) of a relaxed structure of MnCoSb. Values from VASP.

Quantum ESPRESSO input file:
```
&SYSTEM
  ibrav = 0, nat = 3, ntyp = 3
/
ATOMIC_SPECIES
Mn 54.94 Mn.upf
Co 58.93 Co.upf
Sb 121.76 Sb.upf
CELL_PARAMETERS angstrom
0.000 2.923 2.923
2.923 0.000 2.923
2.923 2.923 0.000
ATOMIC_POSITIONS crystal
Mn 0.000 0.000 0.000
Co 0.750 0.750 0.750
Sb 0.500 0.500 0.500
```

The energy of formation from the pure elements comes out at -0.20 eV/atom. As for the magnetization: 1.0380 μB per atom.

[6]
The following is a DFT calculation (r2SCAN) of a relaxed structure of MnCoSb. Values from VASP.

Quantum ESPRESSO input file:
```
&SYSTEM
  ibrav = 0, nat = 24, ntyp = 3
/
ATOMIC_SPECIES
Mn 54.94 Mn.upf
Co 58.93 Co.upf
Sb 121.76 Sb.upf
CELL_PARAMETERS angstrom
0.000 5.835 5.835
5.835 0.000 5.835
5.835 5.835 0.000
ATOMIC_POSITIONS crystal
Mn 0.000 0.000 0.000
Mn 0.000 0.000 0.500
Mn 0.000 0.500 0.000
Mn 0.000 0.500 0.500
Mn 0.500 0.000 0.000
Mn 0.500 0.000 0.500
Mn 0.500 0.500 0.000
Mn 0.500 0.500 0.500
Co 0.122 0.122 0.122
Co 0.122 0.122 0.633
Co 0.122 0.633 0.122
Co 0.367 0.878 0.878
Co 0.633 0.122 0.122
Co 0.878 0.367 0.878
Co 0.878 0.878 0.367
Co 0.878 0.878 0.878
Sb 0.250 0.250 0.250
Sb 0.258 0.258 0.742
Sb 0.258 0.742 0.258
Sb 0.258 0.742 0.742
Sb 0.742 0.258 0.258
Sb 0.742 0.258 0.742
Sb 0.742 0.742 0.258
Sb 0.750 0.750 0.750
```

The energy of formation from the pure elements comes out at -0.25 eV/atom. As for the magnetization: 1.4944 μB per atom.

[7]
The following is a DFT calculation (r2SCAN) of a relaxed structure of Mn2CoSi. Values from VASP.

Quantum ESPRESSO input file:
```
&SYSTEM
  ibrav = 0, nat = 4, ntyp = 3
/
ATOMIC_SPECIES
Mn 54.94 Mn.upf
Co 58.93 Co.upf
Si 28.09 Si.upf
CELL_PARAMETERS angstrom
0.000 2.820 2.820
2.820 0.000 2.820
2.820 2.820 0.000
ATOMIC_POSITIONS crystal
Mn 0.000 0.000 0.000
Mn 0.250 0.250 0.250
Co 0.500 0.500 0.500
Si 0.750 0.750 0.750
```

The energy of formation from the pure elements comes out at -0.39 eV/atom. As for the magnetization: 0.7500 μB per atom.

[8]
The following is a DFT calculation (r2SCAN) of a relaxed structure of MnVCo4Si2. Values from VASP.

Quantum ESPRESSO input file:
```
&SYSTEM
  ibrav = 0, nat = 8, ntyp = 4
/
ATOMIC_SPECIES
Mn 54.94 Mn.upf
V 50.94 V.upf
Co 58.93 Co.upf
Si 28.09 Si.upf
CELL_PARAMETERS angstrom
1.987 1.147 6.478
-1.987 1.147 6.478
0.000 -2.294 6.478
ATOMIC_POSITIONS crystal
Mn 0.000 0.000 0.000
V 0.500 0.500 0.500
Co 0.126 0.126 0.126
Co 0.376 0.376 0.376
Co 0.624 0.624 0.624
Co 0.874 0.874 0.874
Si 0.251 0.251 0.251
Si 0.749 0.749 0.749
```

The energy of formation from the pure elements comes out at -0.51 eV/atom. As for the magnetization: 1.0000 μB per atom.

[9]
The following is a DFT calculation (r2SCAN) of a relaxed structure of Co3Mo. Values from VASP.

Quantum ESPRESSO input file:
```
&SYSTEM
  ibrav = 0, nat = 4, ntyp = 2
/
ATOMIC_SPECIES
Co 58.93 Co.upf
Mo 95.94 Mo.upf
CELL_PARAMETERS angstrom
3.563 0.000 0.000
0.000 3.563 0.000
0.000 0.000 3.563
ATOMIC_POSITIONS crystal
Co 0.000 0.000 0.500
Co 0.000 0.500 0.000
Co 0.500 0.000 0.000
Mo 0.500 0.500 0.500
```

The energy of formation from the pure elements comes out at 0.18 eV/atom. As for the magnetization: 0.2839 μB per atom.

[10]
The following is a DFT calculation (r2SCAN) of a relaxed structure of Co3Mo. Values from VASP.

Quantum ESPRESSO input file:
```
&SYSTEM
  ibrav = 0, nat = 8, ntyp = 2
/
ATOMIC_SPECIES
Co 58.93 Co.upf
Mo 95.94 Mo.upf
CELL_PARAMETERS angstrom
5.048 0.000 0.000
-2.524 4.372 0.000
0.000 0.000 4.119
ATOMIC_POSITIONS crystal
Co 0.163 0.326 0.250
Co 0.163 0.837 0.250
Co 0.326 0.163 0.750
Co 0.674 0.837 0.250
Co 0.837 0.163 0.750
Co 0.837 0.674 0.750
Mo 0.333 0.667 0.750
Mo 0.667 0.333 0.250
```

The energy of formation from the pure elements comes out at 0.13 eV/atom. As for the magnetization: 0.4942 μB per atom.

[11]
The following is a DFT calculation (r2SCAN) of a relaxed structure of CoMoO4. Values from VASP.

Quantum ESPRESSO input file:
```
&SYSTEM
  ibrav = 0, nat = 24, ntyp = 3
/
ATOMIC_SPECIES
Co 58.93 Co.upf
Mo 95.94 Mo.upf
O 16.00 O.upf
CELL_PARAMETERS angstrom
4.789 -4.425 0.000
4.789 4.425 0.000
-3.094 0.000 6.995
ATOMIC_POSITIONS crystal
Co 0.189 0.811 0.000
Co 0.191 0.191 0.341
Co 0.809 0.809 0.659
Co 0.811 0.189 0.000
Mo 0.218 0.782 0.500
Mo 0.219 0.219 0.860
Mo 0.781 0.781 0.140
Mo 0.782 0.218 0.500
O 0.149 0.846 0.262
O 0.150 0.150 0.060
O 0.153 0.153 0.586
O 0.154 0.851 0.738
O 0.181 0.507 0.424
O 0.185 0.494 0.921
O 0.493 0.819 0.576
O 0.494 0.185 0.921
O 0.506 0.815 0.079
O 0.507 0.181 0.424
O 0.815 0.506 0.079
O 0.819 0.493 0.576
O 0.846 0.149 0.262
O 0.847 0.847 0.414
O 0.850 0.850 0.940
O 0.851 0.154 0.738
```

The energy of formation from the pure elements comes out at -1.86 eV/atom. As for the magnetization: 0.5000 μB per atom.

[12]
The following is a DFT calculation (r2SCAN) of a relaxed structure of CoMoP. Values from VASP.

Quantum ESPRESSO input file:
```
&SYSTEM
  ibrav = 0, nat = 12, ntyp = 3
/
ATOMIC_SPECIES
Co 58.93 Co.upf
Mo 95.94 Mo.upf
P 30.97 P.upf
CELL_PARAMETERS angstrom
5.782 0.000 0.000
0.000 3.713 0.000
0.000 0.000 6.671
ATOMIC_POSITIONS crystal
Co 0.140 0.250 0.067
Co 0.360 0.750 0.567
Co 0.640 0.250 0.433
Co 0.860 0.750 0.933
Mo 0.033 0.250 0.670
Mo 0.467 0.750 0.170
Mo 0.533 0.250 0.830
Mo 0.967 0.750 0.330
P 0.233 0.750 0.881
P 0.267 0.250 0.381
P 0.733 0.750 0.619
P 0.767 0.250 0.119
```

The energy of formation from the pure elements comes out at -0.55 eV/atom. As for the magnetization: 0.0000 μB per atom.

[13]
The following is a DFT calculation (r2SCAN) of a relaxed structure of CoMoP2. Values from VASP.

Quantum ESPRESSO input file:
```
&SYSTEM
  ibrav = 0, nat = 8, ntyp = 3
/
ATOMIC_SPECIES
Co 58.93 Co.upf
Mo 95.94 Mo.upf
P 30.97 P.upf
CELL_PARAMETERS angstrom
3.294 0.000 0.000
-1.647 2.853 0.000
0.000 0.000 11.106
ATOMIC_POSITIONS crystal
Co 0.000 0.000 0.000
Co 0.000 0.000 0.500
Mo 0.000 0.000 0.250
Mo 0.000 0.000 0.750
P 0.333 0.667 0.109
P 0.333 0.667 0.391
P 0.667 0.333 0.609
P 0.667 0.333 0.891
```

The energy of formation from the pure elements comes out at -0.62 eV/atom. As for the magnetization: 0.0000 μB per atom.

[14]
The following is a DFT calculation (r2SCAN) of a relaxed structure of Co3SiMo2. Values from VASP.

Quantum ESPRESSO input file:
```
&SYSTEM
  ibrav = 0, nat = 12, ntyp = 3
/
ATOMIC_SPECIES
Co 58.93 Co.upf
Si 28.09 Si.upf
Mo 95.94 Mo.upf
CELL_PARAMETERS angstrom
4.723 0.000 0.000
-2.361 4.090 0.000
0.000 0.000 7.351
ATOMIC_POSITIONS crystal
Co 0.171 0.343 0.250
Co 0.171 0.829 0.250
Co 0.343 0.171 0.750
Co 0.657 0.829 0.250
Co 0.829 0.171 0.750
Co 0.829 0.657 0.750
Si 0.000 0.000 0.000
Si 0.000 0.000 0.500
Mo 0.333 0.667 0.568
Mo 0.333 0.667 0.932
Mo 0.667 0.333 0.068
Mo 0.667 0.333 0.432
```

The energy of formation from the pure elements comes out at -0.19 eV/atom. As for the magnetization: 0.0849 μB per atom.

[15]
The following is a DFT calculation (r2SCAN) of a relaxed structure of Ta3Co2Mo. Values from VASP.

Quantum ESPRESSO input file:
```
&SYSTEM
  ibrav = 0, nat = 6, ntyp = 3
/
ATOMIC_SPECIES
Ta 180.95 Ta.upf
Co 58.93 Co.upf
Mo 95.94 Mo.upf
CELL_PARAMETERS angstrom
0.000 4.324 4.226
2.456 0.000 4.226
2.456 4.324 0.000
ATOMIC_POSITIONS crystal
Ta 0.000 0.000 0.000
Ta 0.497 0.819 0.181
Ta 0.819 0.497 0.503
Co 0.408 0.408 0.092
Co 0.908 0.908 0.592
Mo 0.319 0.319 0.681
```

The energy of formation from the pure elements comes out at -0.11 eV/atom. As for the magnetization: 0.0000 μB per atom.

[16]
The following is a DFT calculation (r2SCAN) of a relaxed structure of TaCo6Mo. Values from VASP.

Quantum ESPRESSO input file:
```
&SYSTEM
  ibrav = 0, nat = 8, ntyp = 3
/
ATOMIC_SPECIES
Ta 180.95 Ta.upf
Co 58.93 Co.upf
Mo 95.94 Mo.upf
CELL_PARAMETERS angstrom
5.099 0.000 0.000
-2.549 4.416 0.000
0.000 0.000 4.099
ATOMIC_POSITIONS crystal
Ta 0.000 0.000 0.000
Co 0.009 0.504 0.000
Co 0.175 0.349 0.500
Co 0.175 0.825 0.500
Co 0.496 0.504 0.000
Co 0.496 0.991 0.000
Co 0.651 0.825 0.500
Mo 0.667 0.333 0.500
```

The energy of formation from the pure elements comes out at 0.02 eV/atom. As for the magnetization: 0.3499 μB per atom.

[17]
The following is a DFT calculation (r2SCAN) of a relaxed structure of Ti2CoMo. Values from VASP.

Quantum ESPRESSO input file:
```
&SYSTEM
  ibrav = 0, nat = 4, ntyp = 3
/
ATOMIC_SPECIES
Ti 47.87 Ti.upf
Co 58.93 Co.upf
Mo 95.94 Mo.upf
CELL_PARAMETERS angstrom
0.000 3.051 3.051
3.051 0.000 3.051
3.051 3.051 0.000
ATOMIC_POSITIONS crystal
Ti 0.250 0.250 0.250
Ti 0.750 0.750 0.750
Co 0.000 0.000 0.000
Mo 0.500 0.500 0.500
```

The energy of formation from the pure elements comes out at -0.19 eV/atom. As for the magnetization: 0.0320 μB per atom.

[18]
The following is a DFT calculation (r2SCAN) of a relaxed structure of Co3N. Values from VASP.

Quantum ESPRESSO input file:
```
&SYSTEM
  ibrav = 0, nat = 8, ntyp = 2
/
ATOMIC_SPECIES
Co 58.93 Co.upf
N 14.01 N.upf
CELL_PARAMETERS angstrom
4.542 0.000 0.000
-2.271 3.933 0.000
0.000 0.000 4.276
ATOMIC_POSITIONS crystal
Co 0.000 0.324 0.000
Co 0.000 0.676 0.500
Co 0.324 0.000 0.000
Co 0.324 0.324 0.500
Co 0.676 0.000 0.500
Co 0.676 0.676 0.000
N 0.333 0.667 0.250
N 0.667 0.333 0.750
```

The energy of formation from the pure elements comes out at 0.16 eV/atom. As for the magnetization: 0.9217 μB per atom.

[19]
The following is a DFT calculation (r2SCAN) of a relaxed structure of Na10Co4O9. Values from VASP.

Quantum ESPRESSO input file:
```
&SYSTEM
  ibrav = 0, nat = 46, ntyp = 3
/
ATOMIC_SPECIES
Na 22.99 Na.upf
Co 58.93 Co.upf
O 16.00 O.upf
CELL_PARAMETERS angstrom
8.237 0.000 0.000
4.087 7.254 0.000
0.900 4.054 10.572
ATOMIC_POSITIONS crystal
Na 0.024 0.234 0.384
Na 0.111 0.347 0.616
Na 0.117 0.003 0.889
Na 0.165 0.129 0.135
Na 0.223 0.600 0.881
Na 0.319 0.364 0.381
Na 0.339 0.677 0.130
Na 0.373 0.495 0.643
Na 0.417 0.154 0.872
Na 0.424 0.974 0.379
Na 0.576 0.026 0.621
Na 0.583 0.846 0.128
Na 0.627 0.505 0.357
Na 0.661 0.323 0.870
Na 0.681 0.636 0.619
Na 0.777 0.400 0.119
Na 0.835 0.871 0.865
Na 0.883 0.997 0.111
Na 0.889 0.653 0.384
Na 0.976 0.766 0.616
Co 0.040 0.559 0.141
Co 0.178 0.796 0.358
Co 0.260 0.918 0.651
Co 0.464 0.260 0.151
Co 0.536 0.740 0.849
Co 0.740 0.082 0.349
Co 0.822 0.204 0.642
Co 0.960 0.441 0.859
O 0.036 0.942 0.717
O 0.063 0.756 0.026
O 0.153 0.446 0.772
O 0.168 0.592 0.474
O 0.241 0.295 0.222
O 0.287 0.107 0.532
O 0.369 0.814 0.271
O 0.437 0.849 0.964
O 0.439 0.653 0.750
O 0.561 0.347 0.250
O 0.563 0.151 0.036
O 0.631 0.186 0.729
O 0.713 0.893 0.468
O 0.759 0.705 0.778
O 0.832 0.408 0.526
O 0.847 0.554 0.228
O 0.937 0.244 0.974
O 0.964 0.058 0.283
```

The energy of formation from the pure elements comes out at -1.37 eV/atom. As for the magnetization: 0.3478 μB per atom.